The following is a DFT calculation (GGA-PBE) of HoRhO3 after structural relaxation.

Properties
Final energy   -6.94 eV per atom
Magnetic moment   0.00 μB per formula unit
Energy relative to the elements   -1.99 eV/atom
Total energy after the MP2020 corrections   -36.74 eV per cell
Symmetry   Pm-3m, No. 221

abc: 3.937 3.937 3.937
angles: 90.00 90.00 90.00
Positions (direct):
Ho 0.000 0.000 0.000
Rh 0.500 0.500 0.500
O 0.000 0.500 0.500
O 0.500 0.000 0.500
O 0.500 0.500 0.000